1.
Here is LiMn2P5O15 after structural relaxation from the Materials Project. Energies are from PBE with a Hubbard U.

```
46
Lattice="13.186 0.000 0.000 0.000 5.174 0.000 0.000 2.035 8.503" Properties=species:S:1:pos:R:3 pbc="T T T"
Li 0.000 3.605 4.251
Li 6.593 3.605 4.251
Mn 11.902 4.813 1.317
Mn 7.877 4.813 1.317
Mn 5.309 2.397 7.185
Mn 1.284 2.397 7.185
P 4.766 6.046 4.255
P 1.827 6.046 4.255
P 12.258 5.052 6.909
P 7.521 5.052 6.909
P 3.296 4.890 8.338
P 9.889 2.319 0.164
P 5.665 2.157 1.593
P 0.928 2.157 1.593
P 8.420 1.163 4.248
P 11.359 1.163 4.248
O 9.889 5.857 3.857
O 12.708 6.186 7.823
O 7.071 6.186 7.823
O 3.296 6.094 7.437
O 11.420 5.640 5.720
O 8.359 5.640 5.720
O 7.550 5.543 3.289
O 12.229 5.543 3.289
O 4.891 4.575 4.129
O 1.702 4.575 4.129
O 11.143 4.180 7.688
O 8.636 4.180 7.688
O 0.113 4.076 6.448
O 6.480 4.076 6.448
O 9.889 3.710 0.783
O 3.296 3.500 7.720
O 6.706 3.133 2.055
O 13.073 3.133 2.055
O 4.550 3.030 0.815
O 2.043 3.030 0.815
O 11.484 2.634 4.374
O 8.295 2.634 4.374
O 5.636 1.666 5.213
O 0.957 1.666 5.213
O 4.827 1.570 2.782
O 1.766 1.570 2.782
O 9.889 1.116 1.066
O 6.115 1.023 0.679
O 0.478 1.023 0.679
O 3.296 1.352 4.646
```

Computed properties:
Space-group type   P2_1/m, No. 11
Size of the total moment   10.0 μB/f.u.
ΔH_f (0 K)   -2.568 eV per atom
Energy with MP2020 corrections   -7.852 eV per atom
ΔE to the lowest computed polymorph   1.2 kJ per mole of atoms
Raw total energy   -7.26 eV/atom

---

2.
Here is Tb2MgV2O8 after structural relaxation from the Materials Project. Energies are from PBE with a Hubbard U.

```
13
Lattice="-6.051 0.738 -0.325 2.007 -3.395 4.659 2.386 5.707 0.876" Properties=species:S:1:pos:R:3 pbc="T T T"
Tb 1.369 -1.335 4.115
Tb -3.232 4.490 0.969
Mg -4.319 1.583 0.596
V 0.749 2.448 3.431
V -2.193 0.492 1.911
O -2.347 0.450 3.674
O 0.591 0.790 4.125
O -0.578 3.259 4.404
O -3.957 -0.135 1.514
O -2.480 2.172 1.040
O 0.688 2.349 1.601
O 2.270 3.407 3.581
O -0.875 -0.063 0.869
```

Computed properties:
Space-group type   C2, No. 5
Size of the total moment   0.0 μB/f.u.
ΔH_f (0 K)   -3.082 eV per atom
Energy with MP2020 corrections   -8.360 eV per atom
Raw total energy   -7.68 eV/atom

---

3.
Here is CoHO2 after structural relaxation from the Materials Project. Energies are from PBE with a Hubbard U.

```
16
Lattice="-2.807 -0.044 0.876 1.547 -2.600 0.122 7.041 1.936 16.706" Properties=species:S:1:pos:R:3 pbc="T T T"
Co 2.890 -0.360 8.843
Co 5.716 -0.536 12.809
Co 7.000 1.932 16.694
Co 0.023 -0.165 4.868
H 3.729 -1.447 6.614
H 2.183 0.893 11.349
H 4.994 0.633 15.338
H 0.846 -1.390 2.626
O 3.290 -1.687 5.262
O 1.712 0.602 9.997
O 4.536 0.424 13.958
O 0.410 -1.573 1.252
O 4.049 -1.318 7.614
O 2.520 1.062 12.332
O 5.333 0.802 16.316
O 1.168 -1.249 3.618
```

Computed properties:
Space-group type   P1, No. 1
Size of the total moment   2.7 μB/f.u.
ΔH_f (0 K)   -1.178 eV per atom
Energy with MP2020 corrections   -6.277 eV per atom
Raw total energy   -5.52 eV/atom

---

4.
Here is Li2TiVO4 after structural relaxation from the Materials Project. Energies are from PBE with a Hubbard U.

```
32
Lattice="1.462 0.857 4.851 -2.921 5.194 -0.037 -6.173 -6.854 4.934" Properties=species:S:1:pos:R:3 pbc="T T T"
Li -3.085 0.027 7.299
Li -7.633 -2.530 7.331
Li -1.624 -2.570 7.317
Li -6.172 -5.127 7.350
Li -3.086 -1.700 4.883
Li 0.002 3.454 4.832
Li -4.546 0.897 4.865
Li 1.462 0.857 4.851
Ti -3.003 1.747 2.423
Ti -6.089 0.047 7.306
Ti -1.543 -0.850 2.441
Ti -4.628 -2.550 7.324
V -1.542 0.877 4.857
V -6.090 -1.680 4.890
V -3.002 3.474 4.839
V -4.630 -4.277 4.908
O -2.961 1.798 6.133
O -7.509 -0.759 6.165
O -1.500 -0.799 6.151
O -6.048 -3.356 6.184
O -0.123 -0.044 3.582
O -4.671 -2.600 3.615
O -1.584 2.554 3.564
O -6.132 -0.003 3.597
O -2.979 0.059 3.552
O -6.065 -1.641 8.435
O -4.440 2.657 3.534
O -4.605 -4.238 8.453
O -1.567 0.838 1.312
O -4.652 -0.862 6.195
O -3.027 3.435 1.294
O -3.192 -3.459 6.214
```

Computed properties:
Size of the total moment   0.0 μB/f.u.
ΔH_f (0 K)   -2.751 eV per atom
Energy with MP2020 corrections   -7.824 eV per atom
ΔE to the lowest computed polymorph   0.1 kJ per mole of atoms
Raw total energy   -7.27 eV/atom

---

5.
Here is MgFe3Co5O16 after structural relaxation from the Materials Project. Energies are from PBE with a Hubbard U.

```
25
Lattice="-2.958 4.380 2.325 -2.789 -4.784 -1.939 0.055 -3.543 8.670" Properties=species:S:1:pos:R:3 pbc="T T T"
Mg -3.978 -2.600 3.260
Fe -4.342 -4.562 8.624
Fe -4.334 -1.998 6.717
Fe -2.934 0.402 7.690
Co -2.732 -3.961 0.503
Co -2.785 -4.347 5.862
Co -1.373 -1.634 1.445
Co -1.456 -1.903 6.797
Co -2.827 -2.177 9.441
O -3.035 -5.405 4.242
O -4.257 0.912 3.866
O -2.756 -2.099 0.263
O -5.542 -1.478 2.736
O -5.614 -3.363 7.504
O -1.593 -2.931 5.245
O -3.821 -3.947 1.771
O -2.380 -1.477 2.772
O -1.352 0.326 1.137
O -4.258 -3.199 5.148
O -2.813 -3.122 7.581
O -1.501 -0.870 8.495
O -2.842 -0.848 6.188
O -4.204 0.239 1.354
O -4.166 -1.029 8.537
O -2.917 2.447 2.251
```

Computed properties:
Space-group type   Cm, No. 8
Size of the total moment   13.2 μB/f.u.
ΔH_f (0 K)   -1.177 eV per atom
Energy with MP2020 corrections   -6.846 eV per atom
ΔE to the lowest computed polymorph   11.1 kJ per mole of atoms
Raw total energy   -5.81 eV/atom

---

6.
Here is Fe4Bi2O9 after structural relaxation from the Materials Project. Energies are from PBE with a Hubbard U.

```
60
Lattice="8.054 0.000 0.000 0.000 8.625 0.000 0.000 0.000 12.261" Properties=species:S:1:pos:R:3 pbc="T T T"
Fe 4.078 4.326 1.573
Fe 8.003 0.014 4.558
Fe 3.976 4.298 7.703
Fe 0.051 8.611 10.688
Fe 3.976 4.298 10.688
Fe 0.051 8.611 7.703
Fe 4.078 4.326 4.558
Fe 8.003 0.014 1.573
Fe 2.831 7.238 3.065
Fe 1.196 2.925 3.065
Fe 5.223 1.387 9.196
Fe 6.858 5.699 9.196
Fe 6.912 5.812 3.065
Fe 5.168 1.500 3.065
Fe 1.142 2.812 9.196
Fe 2.885 7.124 9.196
Bi 1.435 5.838 0.087
Bi 2.591 1.526 6.043
Bi 6.618 2.786 6.217
Bi 5.462 7.099 12.174
Bi 6.618 2.786 12.174
Bi 5.462 7.099 6.217
Bi 1.435 5.838 6.043
Bi 2.591 1.526 0.087
O 1.224 8.052 0.044
O 2.803 3.739 6.086
O 6.830 0.573 6.175
O 5.251 4.885 12.217
O 6.830 0.573 12.217
O 5.251 4.885 6.175
O 1.224 8.052 6.086
O 2.803 3.739 0.044
O 0.996 7.763 3.065
O 3.030 3.451 3.065
O 7.057 0.862 9.196
O 5.023 5.174 9.196
O 5.154 5.106 3.065
O 6.926 0.794 3.065
O 2.899 3.518 9.196
O 1.127 7.830 9.196
O 3.042 6.120 1.499
O 0.985 1.808 4.632
O 5.012 2.505 7.629
O 7.069 6.817 10.762
O 5.012 2.505 10.762
O 7.069 6.817 7.629
O 3.042 6.120 4.632
O 0.985 1.808 1.499
O 6.946 6.882 1.456
O 5.134 2.570 4.675
O 1.108 1.742 7.586
O 2.919 6.055 10.805
O 1.108 1.742 10.805
O 2.919 6.055 7.586
O 6.946 6.882 4.675
O 5.134 2.570 1.456
O 3.886 0.143 3.065
O 0.141 4.456 3.065
O 4.168 8.481 9.196
O 7.913 4.169 9.196
```

Computed properties:
Space-group type   Pnma, No. 62
Size of the total moment   10.0 μB/f.u.
ΔH_f (0 K)   -1.668 eV per atom
Energy with MP2020 corrections   -7.414 eV per atom
ΔE to the lowest computed polymorph   0.5 kJ per mole of atoms
Raw total energy   -6.40 eV/atom

---

7.
Here is Li2MgCo3O8 after structural relaxation from the Materials Project. Energies are from PBE with a Hubbard U.

```
28
Lattice="-5.495 1.192 -1.173 -0.187 -4.589 -3.792 -2.380 -5.097 5.972" Properties=species:S:1:pos:R:3 pbc="T T T"
Li -0.096 -2.294 -1.897
Li -4.126 -6.541 -1.394
Li -5.220 -6.796 3.489
Li -6.683 -1.357 1.813
Mg -2.568 -9.686 2.179
Mg -4.033 -4.247 0.503
Co -1.284 -4.843 1.090
Co -5.945 -4.065 2.634
Co -4.861 -3.833 -2.213
Co -5.126 -4.501 5.385
Co -2.117 -4.434 -1.623
Co -3.198 -4.656 3.216
O -3.531 -5.116 -2.714
O -1.846 -5.909 2.636
O -0.723 -3.776 -0.457
O -4.528 -3.378 3.721
O -6.263 -4.433 -3.292
O -4.610 -5.286 2.162
O -3.452 -3.208 -1.156
O -7.293 -2.869 3.125
O -5.495 -4.856 -0.785
O -3.833 -5.705 4.657
O -2.556 -5.494 -0.155
O -6.397 -5.147 4.108
O -1.666 -3.346 -3.102
O -5.508 -3.000 1.162
O -4.230 -2.791 -3.651
O -2.568 -3.637 1.789
```

Computed properties:
Space-group type   P2/m, No. 10
Size of the total moment   3.0 μB/f.u.
ΔH_f (0 K)   -1.678 eV per atom
Energy with MP2020 corrections   -6.416 eV per atom
ΔE to the lowest computed polymorph   0.8 kJ per mole of atoms
Raw total energy   -5.67 eV/atom

---

8.
Here is LiNi2OF3 after structural relaxation from the Materials Project. Energies are from PBE with a Hubbard U.

```
14
Lattice="2.971 -5.146 0.000 2.971 5.146 0.000 0.000 0.000 5.053" Properties=species:S:1:pos:R:3 pbc="T T T"
Li 2.971 -1.715 0.146
Li 2.971 1.715 4.907
Ni 1.486 -2.573 2.526
Ni 1.486 2.573 2.526
Ni 2.971 0.000 2.526
Ni 0.000 0.000 0.000
O 2.971 -1.715 3.373
O 2.971 1.715 1.680
F 4.437 -0.869 1.136
F 1.505 -0.869 1.136
F 2.971 3.408 3.916
F 2.971 -3.408 1.136
F 4.437 0.869 3.916
F 1.505 0.869 3.916
```

Computed properties:
Space-group type   P-3m1, No. 164
Size of the total moment   2.0 μB/f.u.
ΔH_f (0 K)   -2.153 eV per atom
Energy with MP2020 corrections   -5.605 eV per atom
ΔE to the lowest computed polymorph   2.9 kJ per mole of atoms
Raw total energy   -4.58 eV/atom

---

9.
Here is Li2Cr3O6 after structural relaxation from the Materials Project. Energies are from PBE with a Hubbard U.

```
22
Lattice="0.927 -3.195 -3.873 4.721 -1.790 -0.758 -0.059 -9.409 4.315" Properties=species:S:1:pos:R:3 pbc="T T T"
Li 1.250 -5.482 -2.455
Li 3.371 -10.542 -0.018
Li 4.307 -9.044 2.237
Li 4.005 -5.614 -1.679
Cr 4.520 -12.994 1.082
Cr 1.991 -6.973 0.029
Cr 0.741 -9.681 4.150
Cr 3.890 -8.534 -1.617
Cr 2.646 -2.036 -1.614
Cr 0.148 -5.207 1.481
O 2.585 -9.487 3.345
O 3.489 -5.610 0.381
O 5.174 -9.971 -1.249
O 2.824 -3.891 -2.396
O 4.338 -11.148 1.751
O 0.606 -5.526 -0.462
O 1.513 -6.604 1.949
O 4.700 -5.453 -3.820
O 1.555 -11.020 0.975
O 2.548 -7.117 -1.900
O 3.439 -8.357 0.292
O 0.804 -2.173 -0.814
```

Computed properties:
Space-group type   Cc, No. 9
Size of the total moment   8.0 μB/f.u.
ΔH_f (0 K)   -2.254 eV per atom
Energy with MP2020 corrections   -7.933 eV per atom
ΔE to the lowest computed polymorph   0.0 kJ per mole of atoms
Raw total energy   -7.01 eV/atom

---

10.
Here is CaVBiO5 after structural relaxation from the Materials Project. Energies are from PBE with a Hubbard U.

```
64
Lattice="5.533 0.000 0.000 0.000 11.382 0.000 0.000 0.000 15.809" Properties=species:S:1:pos:R:3 pbc="T T T"
Ca 2.792 4.086 8.729
Ca 0.026 1.605 8.729
Ca 0.026 7.296 14.985
Ca 5.507 4.086 0.824
Ca 2.741 1.605 0.824
Ca 5.507 9.777 7.080
Ca 2.741 7.296 7.080
Ca 2.792 9.777 14.985
V 5.456 4.599 6.349
V 2.844 10.290 9.460
V 0.077 6.784 9.460
V 2.689 1.092 6.349
V 0.077 1.092 14.253
V 5.456 10.290 1.556
V 2.844 4.599 14.253
V 2.689 6.784 1.556
Bi 5.269 9.625 12.145
Bi 0.265 1.758 3.663
Bi 3.031 3.934 3.663
Bi 0.265 7.449 4.241
Bi 2.502 1.758 11.568
Bi 2.502 7.449 12.145
Bi 3.031 9.625 4.241
Bi 5.269 3.934 11.568
O 5.196 3.714 4.820
O 1.633 0.529 14.764
O 1.134 6.220 1.045
O 1.344 8.752 13.385
O 1.423 3.061 2.424
O 5.196 9.405 3.084
O 1.423 8.752 5.481
O 3.103 9.405 10.988
O 1.633 6.220 8.950
O 0.337 7.668 10.988
O 3.103 3.714 12.725
O 3.453 2.082 7.521
O 4.400 10.853 8.950
O 4.190 8.321 5.481
O 0.953 0.284 1.974
O 4.400 5.162 14.764
O 0.337 1.977 12.725
O 4.110 2.630 10.328
O 0.686 9.300 0.383
O 1.134 0.529 6.859
O 2.080 9.300 8.287
O 4.580 11.099 13.834
O 4.190 2.630 2.424
O 3.720 11.099 5.930
O 2.080 3.609 15.426
O 0.686 3.609 7.521
O 3.900 5.162 6.859
O 3.900 10.853 1.045
O 3.720 5.408 1.974
O 4.847 7.774 8.287
O 4.847 2.082 15.426
O 3.453 7.774 0.383
O 4.580 5.408 9.879
O 4.110 8.321 13.385
O 1.344 3.061 10.328
O 0.953 5.975 5.930
O 1.814 5.975 13.834
O 2.430 1.977 4.820
O 1.814 0.284 9.879
O 2.430 7.668 3.084
```

Computed properties:
Space-group type   Pbca, No. 61
Size of the total moment   0.0 μB/f.u.
ΔH_f (0 K)   -2.554 eV per atom
Energy with MP2020 corrections   -7.519 eV per atom
ΔE to the lowest computed polymorph   0.0 kJ per mole of atoms
Raw total energy   -6.88 eV/atom